# TbCdPd2

A geometry-optimized TbCdPd2 structure (r²SCAN, Materials Project).

## Properties
calculated total energy = -25.0694 eV/atom
E_form = -0.756 eV per atom

```
data_TbCdPd2
_chemical_formula_sum 'Tb4 Cd4 Pd8'
_cell_length_a 6.750
_cell_length_b 6.750
_cell_length_c 6.750
_cell_angle_alpha 90.00
_cell_angle_beta 90.00
_cell_angle_gamma 90.00
_symmetry_space_group_name_H-M 'F m -3 m'
_symmetry_Int_Tables_number 225
_symmetry_space_group_name_Hall '-F 4 2 3'
loop_
_atom_site_label
_atom_site_fract_x
_atom_site_fract_y
_atom_site_fract_z
Tb1 0.000 0.000 0.000
Cd1 0.000 0.000 0.500
Pd1 0.250 0.250 0.250
```

# Tb2CdPd2

A geometry-optimized Tb2CdPd2 structure (r²SCAN, Materials Project).

## Properties
calculated total energy = -26.5318 eV/atom
E_form = -0.836 eV per atom

```
data_Tb2CdPd2
_chemical_formula_sum 'Tb4 Cd2 Pd4'
_cell_length_a 7.695
_cell_length_b 7.695
_cell_length_c 3.712
_cell_angle_alpha 90.00
_cell_angle_beta 90.00
_cell_angle_gamma 90.00
_symmetry_space_group_name_H-M 'P 4/m b m'
_symmetry_Int_Tables_number 127
_symmetry_space_group_name_Hall '-P 4 2ab'
loop_
_atom_site_label
_atom_site_fract_x
_atom_site_fract_y
_atom_site_fract_z
Tb1 0.172 0.328 0.000
Cd1 0.000 0.000 0.500
Pd1 0.128 0.628 0.500
```

# Tm4CdPd

A geometry-optimized Tm4CdPd structure (r²SCAN, Materials Project).

## Properties
calculated total energy = -31.1028 eV/atom
E_form = -0.511 eV per atom

```
data_Tm4CdPd
_chemical_formula_sum 'Tm64 Cd16 Pd16'
_cell_length_a 13.433
_cell_length_b 13.433
_cell_length_c 13.433
_cell_angle_alpha 90.00
_cell_angle_beta 90.00
_cell_angle_gamma 90.00
_symmetry_space_group_name_H-M 'F -4 3 m'
_symmetry_Int_Tables_number 216
_symmetry_space_group_name_Hall 'F -4 2 3'
loop_
_atom_site_label
_atom_site_fract_x
_atom_site_fract_y
_atom_site_fract_z
Tm1 0.000 0.000 0.185
Tm2 0.061 0.250 0.250
Tm3 0.105 0.105 0.605
Cd1 0.168 0.168 0.832
Pd1 0.105 0.105 0.395
```